# 1
The following is a DFT calculation (PBE-GGA) of a geometry-optimized CoRu structure.

The structure in POSCAR format:
```
CoRu
1.0
-2.221 -0.595 -1.318
0.773 -1.505 2.041
-2.152 2.366 2.559
Co Ru
1 1
Cartesian
-2.299 0.285 1.081
-0.225 -1.201 0.921
```

Values from the calculation:
- Energy of formation: 0.30 eV per formula unit

***

# 2
The following is a DFT calculation (PBE-GGA) of a geometry-optimized Te3W2Se structure.

The structure in POSCAR format:
```
Te3W2Se
1.0
-1.350 3.226 0.045
1.016 -1.429 -3.026
-36.350 -15.138 -5.055
Te W Se
6 4 2
Cartesian
-11.930 -4.968 -1.659
-25.589 -10.656 -3.558
-15.158 -6.284 -4.142
-18.532 -7.689 -4.611
-8.556 -3.563 -1.190
-22.214 -9.251 -3.089
-3.414 -1.422 -0.475
-17.072 -7.110 -2.374
-10.015 -4.143 -3.427
-23.675 -9.831 -5.326
-1.701 -0.680 -2.271
-4.673 -1.918 -2.684
```

Values from the calculation:
- Energy of formation: -1.53 eV per formula unit

***

# 3
The following is a DFT calculation (PBE-GGA) of a geometry-optimized CsPH2O4 structure.

The structure in POSCAR format:
```
CsPH2O4
1.0
-2.526 -1.683 5.626
-2.299 -3.822 -2.175
9.726 -12.589 0.599
Cs P H O
4 4 8 16
Cartesian
5.332 -8.304 1.724
4.433 -16.085 2.624
0.468 -2.010 1.426
-0.430 -9.791 2.326
2.995 -11.225 3.499
6.724 -13.194 0.952
-1.823 -4.900 3.098
1.907 -6.870 0.551
3.225 -9.111 4.197
6.520 -15.291 0.196
6.210 -11.580 -0.586
4.754 -12.009 2.263
-1.619 -2.803 3.854
1.677 -8.984 -0.147
-1.309 -6.515 4.637
0.148 -6.085 1.787
1.861 -11.896 2.742
7.890 -12.502 1.636
2.576 -9.696 3.680
7.205 -14.683 0.634
3.329 -11.839 4.858
5.421 -13.226 1.751
4.311 -11.121 2.598
6.467 -12.593 -0.506
-2.989 -5.593 2.414
3.040 -6.199 1.308
-2.303 -3.412 3.416
2.326 -8.399 0.370
-1.565 -5.502 4.556
0.591 -6.974 1.452
-0.520 -4.869 2.299
1.573 -6.255 -0.808
```

Values from the calculation:
- Energy of formation: -17.48 eV per formula unit

***

# 4
The following is a DFT calculation (PBE-GGA) of a geometry-optimized Ho2GaRu structure.

The structure in POSCAR format:
```
Ho2GaRu
1.0
-2.667 -1.786 1.330
1.589 -2.980 -0.814
3.170 -0.034 6.312
Ho Ga Ru
2 1 1
Cartesian
2.442 -0.026 4.862
0.728 -0.008 1.449
1.046 -2.400 3.414
-0.539 -2.383 0.258
```

Values from the calculation:
- Energy of formation: -2.12 eV per formula unit

***

# 5
The following is a DFT calculation (PBE-GGA) of a geometry-optimized Pm3Y structure.

The structure in POSCAR format:
```
Pm3Y
1.0
0.160 4.732 4.148
-5.857 1.306 1.899
3.196 -5.414 -0.305
Pm Y
3 1
Cartesian
0.254 1.168 3.433
-2.755 -0.545 2.309
-2.848 3.019 3.023
0.000 0.000 0.000
```

Values from the calculation:
- Energy of formation: 0.06 eV per formula unit
- Energy relative to the lowest polymorph listed for this composition: 7 meV per atom

***

# 6
The following is a DFT calculation (PBE-GGA) of a geometry-optimized LiAu4Se4Cl4O12 structure.

The structure in POSCAR format:
```
LiAu4Se4Cl4O12
1.0
4.751 -0.074 0.296
0.367 9.932 1.677
0.490 -0.029 11.058
Li Au Se Cl O
1 4 4 4 12
Cartesian
3.062 2.293 10.187
0.373 5.809 2.960
0.570 0.054 11.032
0.627 4.189 9.775
5.178 9.782 7.444
3.911 8.490 4.664
1.779 7.157 11.225
4.134 2.820 1.929
1.307 1.375 8.081
2.505 4.533 8.421
3.470 4.926 4.629
1.292 1.861 5.137
3.922 7.868 7.723
3.662 9.415 3.210
3.915 3.417 11.522
0.540 7.563 3.977
0.602 1.803 0.985
0.634 4.058 1.976
5.253 8.208 11.999
1.826 6.527 1.688
4.766 2.258 9.022
4.867 9.745 5.451
5.290 6.029 10.947
1.944 0.677 9.597
0.369 0.016 7.494
```

Values from the calculation:
- Energy of formation: -21.88 eV per formula unit
- Energy relative to the lowest polymorph listed for this composition: 12 meV per atom

***

# 7
The following is a DFT calculation (PBE-GGA) of a geometry-optimized YAl8Cr4 structure.

The structure in POSCAR format:
```
YAl8Cr4
1.0
-4.459 4.459 2.527
4.459 -4.459 2.527
4.459 4.459 -2.527
Y Al Cr
1 8 4
Cartesian
0.000 0.000 0.000
5.913 0.000 0.000
0.000 5.913 0.000
0.000 3.006 0.000
3.006 0.000 0.000
1.986 0.000 2.527
0.000 1.986 2.527
4.459 2.473 0.000
2.473 4.459 0.000
2.230 2.230 1.263
-2.230 2.230 1.263
2.230 -2.230 1.263
2.230 2.230 -1.263
```

Values from the calculation:
- Energy of formation: -2.79 eV per formula unit

***

# 8
The following is a DFT calculation (PBE-GGA) of a geometry-optimized SmMg3Ni8 structure.

The structure in POSCAR format:
```
SmMg3Ni8
1.0
-3.474 -3.474 0.000
0.000 3.474 -3.474
3.459 -3.459 -6.932
Sm Mg Ni
1 3 8
Cartesian
-3.469 -0.005 -3.478
-0.015 -3.458 -3.458
-1.684 -1.789 -5.263
1.650 -1.650 -8.597
-0.839 -0.904 -2.635
-0.898 -4.290 -6.050
-0.839 0.839 -4.378
-0.898 -2.576 -7.764
0.864 -0.864 -4.338
0.847 -4.321 -7.794
-2.570 -2.635 -2.635
0.817 -2.576 -6.050
```

Values from the calculation:
- Energy of formation: -3.28 eV per formula unit